This record from the Materials Project database describes crystalline EuC10 at its relaxed geometry. The functional is PBE.

The calculation puts the energy at -100.2 eV/f.u. Its space group is Im-3, No. 204. The calculation puts the energy above the most stable polymorph in this dataset at 0 meV per atom.

a b c (Å): 9.5124 9.5124 9.5124
angles (deg): 109.47 109.47 109.47
Last column: nearest neighbours and their distance in Å.
Fractional positions:
Eu1 0.2693 0.5000 0.7693  22 C 2.98-3.29
Eu2 0.7307 0.5000 0.2307  22 C 2.98-3.29
Eu3 0.7693 0.2693 0.5000  22 C 2.98-3.29
Eu4 0.5000 0.2307 0.7307  22 C 2.98-3.29
Eu5 0.2307 0.7307 0.5000  22 C 2.98-3.29
Eu6 0.5000 0.7693 0.2693  22 C 2.98-3.29
C1 0.8287 0.2771 0.9754  3 C 1.43-1.45
C2 0.1730 0.4112 0.0248  3 C 1.45
C3 0.7229 0.0246 0.1713  3 C 1.43-1.45
C4 0.7229 0.5516 0.6983  3 C 1.43-1.45
C5 0.2547 0.9340 0.3207  3 C 1.45
C6 0.6136 0.5888 0.7618  3 C 1.45
C7 0.5516 0.8287 0.8533  3 C 1.43-1.45
C8 0.6136 0.8518 0.0248  3 C 1.45
C9 0.0660 0.6793 0.7453  3 C 1.45
C10 0.1730 0.1482 0.7618  3 C 1.45
C11 0.0248 0.1730 0.4112  3 C 1.45
C12 0.6133 0.9340 0.6793  3 C 1.45
C13 0.9752 0.8270 0.5888  3 C 1.45
C14 0.3864 0.1482 0.9752  3 C 1.45
C15 0.0246 0.3017 0.8533  3 C 1.43-1.45
C16 0.1482 0.7618 0.1730  3 C 1.45
C17 0.8518 0.0248 0.6136  3 C 1.45
C18 0.9752 0.3864 0.1482  3 C 1.45
C19 0.4112 0.0248 0.1730  3 C 1.45
C20 0.5888 0.9752 0.8270  3 C 1.45
C21 0.7618 0.6136 0.5888  3 C 1.45
C22 0.8287 0.8533 0.5516  3 C 1.43-1.45
C23 0.4484 0.3017 0.2771  3 C 1.43-1.45
C24 0.0246 0.1713 0.7229  3 C 1.43-1.45
C25 0.3017 0.2771 0.4484  3 C 1.43-1.45
C26 0.8270 0.5888 0.9752  3 C 1.45
C27 0.3207 0.3867 0.0660  3 C 1.45
C28 0.1467 0.9754 0.6983  3 C 1.43-1.45
C29 0.0248 0.6136 0.8518  3 C 1.45
C30 0.8270 0.8518 0.2382  3 C 1.45
C31 0.5516 0.6983 0.7229  3 C 1.43-1.45
C32 0.9754 0.6983 0.1467  3 C 1.43-1.45
C33 0.2382 0.3864 0.4112  3 C 1.45
C34 0.4484 0.1713 0.1467  3 C 1.43-1.45
C35 0.6793 0.7453 0.0660  3 C 1.45
C36 0.1467 0.4484 0.1713  3 C 1.43-1.45
C37 0.6793 0.6133 0.9340  3 C 1.45
C38 0.8533 0.5516 0.8287  3 C 1.43-1.45
C39 0.1482 0.9752 0.3864  3 C 1.45
C40 0.3207 0.2547 0.9340  3 C 1.45
C41 0.0660 0.3207 0.3867  3 C 1.45
C42 0.6983 0.7229 0.5516  3 C 1.43-1.45
C43 0.1713 0.7229 0.0246  3 C 1.43-1.45
C44 0.2771 0.4484 0.3017  3 C 1.43-1.45
C45 0.8533 0.0246 0.3017  3 C 1.43-1.45
C46 0.5888 0.7618 0.6136  3 C 1.45
C47 0.3867 0.0660 0.3207  3 C 1.45
C48 0.6983 0.1467 0.9754  3 C 1.43-1.45
C49 0.3017 0.8533 0.0246  3 C 1.43-1.45
C50 0.2382 0.8270 0.8518  3 C 1.45
C51 0.9340 0.3207 0.2547  3 C 1.45
C52 0.4112 0.2382 0.3864  3 C 1.45
C53 0.2771 0.9754 0.8287  3 C 1.43-1.45
C54 0.7453 0.0660 0.6793  3 C 1.45
C55 0.7618 0.1730 0.1482  3 C 1.45
C56 0.3864 0.4112 0.2382  3 C 1.45
C57 0.8518 0.2382 0.8270  3 C 1.45
C58 0.9340 0.6793 0.6133  3 C 1.45
C59 0.9754 0.8287 0.2771  3 C 1.43-1.45
C60 0.1713 0.1467 0.4484  3 C 1.43-1.45